# 1
Computed, not measured: a relaxed structure of CsNbC6 at the GGA-PBE level of DFT.

Computed properties:
Total moment (μB per formula unit): 0.00
E (eV/atom): -7.45

Cell: 5.6212 5.6212 5.6212 Å, 90.00 90.00 90.00°
Atoms (fractional coordinates):
1 C 0.0000 0.0000 0.3879
2 C 0.0000 0.0000 0.6121
3 C 0.0000 0.6121 0.0000
4 C 0.6121 0.0000 0.0000
5 C 0.0000 0.3879 0.0000
6 C 0.3879 0.0000 0.0000
7 Cs 0.5000 0.5000 0.5000
8 Nb 0.0000 0.0000 0.0000

---

# 2
Computed, not measured: a relaxed structure of CsCO2 at the GGA-PBE level of DFT.

Computed properties:
E (eV/atom): -6.56

Cell: 11.1906 6.7232 8.7445 Å, 83.06 90.00 90.00°
Atoms (fractional coordinates):
1 Cs 0.2041 0.7146 0.4824
2 Cs 0.7959 0.2854 0.5176
3 Cs 0.2959 0.7146 0.9824
4 Cs 0.7041 0.2854 0.0176
5 Cs 0.9125 0.7706 0.8313
6 Cs 0.5875 0.7706 0.3313
7 Cs 0.0875 0.2294 0.1687
8 Cs 0.4125 0.2294 0.6687
9 C 0.0573 0.3095 0.7745
10 C 0.8902 0.8332 0.3330
11 C 0.9427 0.6905 0.2255
12 C 0.6098 0.8332 0.8330
13 C 0.5573 0.6905 0.7255
14 C 0.1098 0.1668 0.6670
15 C 0.3902 0.1668 0.1670
16 C 0.4427 0.3095 0.2745
17 O 0.8912 0.7759 0.4769
18 O 0.3912 0.2241 0.0231
19 O 0.4518 0.7268 0.6735
20 O 0.5482 0.2732 0.3265
21 O 0.8757 0.5477 0.1944
22 O 0.1525 0.0023 0.7328
23 O 0.1243 0.4523 0.8056
24 O 0.6243 0.5477 0.6944
25 O 0.3757 0.4523 0.3056
26 O 0.6088 0.7759 0.9769
27 O 0.3475 0.0023 0.2328
28 O 0.1088 0.2241 0.5231
29 O 0.6525 0.9977 0.7672
30 O 0.9518 0.2732 0.8265
31 O 0.0482 0.7268 0.1735
32 O 0.8475 0.9977 0.2672